MgBi2O5, optimized geometry, DFT PBE; crystal system = triclinic; symmetry = P1 (1); energy relative to the elements = -1.724 eV/atom
1.0
3.676 0.000 0.000
-0.036 5.178 0.000
-0.030 -0.111 12.841
O Bi Mg
10 4 2
direct
0.808 0.570 0.259 O
0.305 0.549 0.102 O
0.803 0.407 0.948 O
0.317 0.437 0.762 O
0.819 0.439 0.604 O
0.305 0.136 0.304 O
0.327 0.027 0.643 O
0.806 0.960 0.134 O
0.814 0.876 0.814 O
0.317 0.592 0.449 O
0.804 0.348 0.110 Bi
0.800 0.299 0.389 Bi
0.322 0.642 0.612 Bi
0.318 0.708 0.895 Bi
0.819 0.193 0.732 Mg
0.316 0.807 0.225 Mg